No. 1
A plane-wave DFT calculation with PBE was carried out for a relaxed Be3B3P6N3O25 crystal.

Lattice parameters (Å, degrees): 12.7533 12.7533 12.7533 90.00 90.00 90.00
Sites, in units of the cell vectors:
Be (0.1821, 0.5682, 0.3748)
Be (0.3179, 0.4318, 0.8748)
Be (0.8179, 0.0682, 0.1252)
Be (0.3748, 0.1821, 0.5682)
Be (0.6821, 0.9318, 0.6252)
Be (0.8748, 0.3179, 0.4318)
Be (0.1252, 0.8179, 0.0682)
Be (0.6252, 0.6821, 0.9318)
Be (0.5682, 0.3748, 0.1821)
Be (0.0682, 0.1252, 0.8179)
Be (0.9318, 0.6252, 0.6821)
Be (0.4318, 0.8748, 0.3179)
B (0.1249, 0.1400, 0.3898)
B (0.3751, 0.8600, 0.8898)
B (0.8751, 0.6400, 0.1102)
B (0.3898, 0.1249, 0.1400)
B (0.6249, 0.3600, 0.6102)
B (0.8898, 0.3751, 0.8600)
B (0.1102, 0.8751, 0.6400)
B (0.6102, 0.6249, 0.3600)
B (0.1400, 0.3898, 0.1249)
B (0.6400, 0.1102, 0.8751)
B (0.3600, 0.6102, 0.6249)
B (0.8600, 0.8898, 0.3751)
P (0.0897, 0.3557, 0.3375)
P (0.4103, 0.6443, 0.8375)
P (0.9103, 0.8557, 0.1625)
P (0.3375, 0.0897, 0.3557)
P (0.5897, 0.1443, 0.6625)
P (0.8375, 0.4103, 0.6443)
P (0.1625, 0.9103, 0.8557)
P (0.6625, 0.5897, 0.1443)
P (0.3557, 0.3375, 0.0897)
P (0.8557, 0.1625, 0.9103)
P (0.1443, 0.6625, 0.5897)
P (0.6443, 0.8375, 0.4103)
P (0.0877, 0.6057, 0.1600)
P (0.4123, 0.3943, 0.6600)
P (0.9123, 0.1057, 0.3400)
P (0.1600, 0.0877, 0.6057)
P (0.5877, 0.8943, 0.8400)
P (0.6600, 0.4123, 0.3943)
P (0.3400, 0.9123, 0.1057)
P (0.8400, 0.5877, 0.8943)
P (0.6057, 0.1600, 0.0877)
P (0.1057, 0.3400, 0.9123)
P (0.8943, 0.8400, 0.5877)
P (0.3943, 0.6600, 0.4123)
N (0.3752, 0.3752, 0.3752)
N (0.1248, 0.6248, 0.8752)
N (0.6248, 0.8752, 0.1248)
N (0.8752, 0.1248, 0.6248)
N (0.6500, 0.6500, 0.6500)
N (0.8500, 0.3500, 0.1500)
N (0.3500, 0.1500, 0.8500)
N (0.1500, 0.8500, 0.3500)
N (0.0996, 0.0996, 0.0996)
N (0.4004, 0.9004, 0.5996)
N (0.9004, 0.5996, 0.4004)
N (0.5996, 0.4004, 0.9004)
O (0.0866, 0.1234, 0.6927)
O (0.4134, 0.8766, 0.1927)
O (0.9134, 0.6234, 0.8073)
O (0.6927, 0.0866, 0.1234)
O (0.5866, 0.3766, 0.3073)
O (0.1927, 0.4134, 0.8766)
O (0.8073, 0.9134, 0.6234)
O (0.3073, 0.5866, 0.3766)
O (0.1234, 0.6927, 0.0866)
O (0.6234, 0.8073, 0.9134)
O (0.3766, 0.3073, 0.5866)
O (0.8766, 0.1927, 0.4134)
O (0.1319, 0.6184, 0.2698)
O (0.3681, 0.3816, 0.7698)
O (0.8681, 0.1184, 0.2302)
O (0.2698, 0.1319, 0.6184)
O (0.6319, 0.8816, 0.7302)
O (0.7698, 0.3681, 0.3816)
O (0.2302, 0.8681, 0.1184)
O (0.7302, 0.6319, 0.8816)
O (0.6184, 0.2698, 0.1319)
O (0.1184, 0.2302, 0.8681)
O (0.8816, 0.7302, 0.6319)
O (0.3816, 0.7698, 0.3681)
O (0.1620, 0.4434, 0.3733)
O (0.3380, 0.5566, 0.8733)
O (0.8380, 0.9434, 0.1267)
O (0.3733, 0.1620, 0.4434)
O (0.6620, 0.0566, 0.6267)
O (0.8733, 0.3380, 0.5566)
O (0.1267, 0.8380, 0.9434)
O (0.6267, 0.6620, 0.0566)
O (0.4434, 0.3733, 0.1620)
O (0.9434, 0.1267, 0.8380)
O (0.0566, 0.6267, 0.6620)
O (0.5566, 0.8733, 0.3380)
O (0.0344, 0.1019, 0.3298)
O (0.4656, 0.8981, 0.8298)
O (0.9656, 0.6019, 0.1702)
O (0.3298, 0.0344, 0.1019)
O (0.5344, 0.3981, 0.6702)
O (0.8298, 0.4656, 0.8981)
O (0.1702, 0.9656, 0.6019)
O (0.6702, 0.5344, 0.3981)
O (0.1019, 0.3298, 0.0344)
O (0.6019, 0.1702, 0.9656)
O (0.3981, 0.6702, 0.5344)
O (0.8981, 0.8298, 0.4656)
O (0.1439, 0.2527, 0.3737)
O (0.3561, 0.7473, 0.8737)
O (0.8561, 0.7527, 0.1263)
O (0.3737, 0.1439, 0.2527)
O (0.6439, 0.2473, 0.6263)
O (0.8737, 0.3561, 0.7473)
O (0.1263, 0.8561, 0.7527)
O (0.6263, 0.6439, 0.2473)
O (0.2527, 0.3737, 0.1439)
O (0.7527, 0.1263, 0.8561)
O (0.2473, 0.6263, 0.6439)
O (0.7473, 0.8737, 0.3561)
O (0.8736, 0.8736, 0.8736)
O (0.6264, 0.1264, 0.3736)
O (0.1264, 0.3736, 0.6264)
O (0.3736, 0.6264, 0.1264)
O (0.1323, 0.6194, 0.4795)
O (0.3677, 0.3806, 0.9795)
O (0.8677, 0.1194, 0.0205)
O (0.4795, 0.1323, 0.6194)
O (0.6323, 0.8806, 0.5205)
O (0.9795, 0.3677, 0.3806)
O (0.0205, 0.8677, 0.1194)
O (0.5205, 0.6323, 0.8806)
O (0.6194, 0.4795, 0.1323)
O (0.1194, 0.0205, 0.8677)
O (0.8806, 0.5205, 0.6323)
O (0.3806, 0.9795, 0.3677)
O (0.0805, 0.3507, 0.2154)
O (0.4195, 0.6493, 0.7154)
O (0.9195, 0.8507, 0.2846)
O (0.2154, 0.0805, 0.3507)
O (0.5805, 0.1493, 0.7846)
O (0.7154, 0.4195, 0.6493)
O (0.2846, 0.9195, 0.8507)
O (0.7846, 0.5805, 0.1493)
O (0.3507, 0.2154, 0.0805)
O (0.8507, 0.2846, 0.9195)
O (0.1493, 0.7846, 0.5805)
O (0.6493, 0.7154, 0.4195)
O (0.1061, 0.1226, 0.5022)
O (0.3939, 0.8774, 0.0022)
O (0.8939, 0.6226, 0.9978)
O (0.5022, 0.1061, 0.1226)
O (0.6061, 0.3774, 0.4978)
O (0.0022, 0.3939, 0.8774)
O (0.9978, 0.8939, 0.6226)
O (0.4978, 0.6061, 0.3774)
O (0.1226, 0.5022, 0.1061)
O (0.6226, 0.9978, 0.8939)
O (0.3774, 0.4978, 0.6061)
O (0.8774, 0.0022, 0.3939)

Results
**Symmetry**: P2_13
**DFT formation energy**: -1918 meV/atom
**Raw total energy**: -1088.013 eV/cell

=====

No. 2
A plane-wave DFT calculation with PBE was carried out for a relaxed NaBeB3O6 crystal.

Lattice parameters (Å, degrees): 4.4523 9.2417 12.0396 90.00 90.00 90.00
Sites, in units of the cell vectors:
Na (0.2800, 0.1760, 0.1132)
Na (0.7800, 0.8240, 0.8868)
Na (0.7800, 0.3240, 0.6132)
Na (0.2800, 0.6760, 0.3868)
Be (0.8265, 0.4081, 0.0420)
Be (0.3265, 0.5919, 0.9580)
Be (0.3265, 0.0919, 0.5420)
Be (0.8265, 0.9081, 0.4580)
B (0.8809, 0.4305, 0.2544)
B (0.3809, 0.5695, 0.7456)
B (0.3809, 0.0695, 0.7544)
B (0.8809, 0.9305, 0.2456)
B (0.5028, 0.0832, 0.3362)
B (0.0028, 0.9168, 0.6638)
B (0.0028, 0.4168, 0.8362)
B (0.5028, 0.5832, 0.1638)
B (0.1588, 0.2775, 0.3948)
B (0.6588, 0.7225, 0.6052)
B (0.6588, 0.2225, 0.8948)
B (0.1588, 0.7775, 0.1052)
O (0.9928, 0.3826, 0.1582)
O (0.4928, 0.6174, 0.8418)
O (0.4928, 0.1174, 0.6582)
O (0.9928, 0.8826, 0.3418)
O (0.6405, 0.0297, 0.2412)
O (0.1405, 0.9703, 0.7588)
O (0.1405, 0.4703, 0.7412)
O (0.6405, 0.5297, 0.2588)
O (0.5623, 0.0367, 0.4412)
O (0.0623, 0.9633, 0.5588)
O (0.0623, 0.4633, 0.9412)
O (0.5623, 0.5367, 0.0588)
O (0.3037, 0.1952, 0.3123)
O (0.8037, 0.8048, 0.6877)
O (0.8037, 0.3048, 0.8123)
O (0.3037, 0.6952, 0.1877)
O (0.6794, 0.2565, 0.0026)
O (0.1794, 0.7435, 0.9974)
O (0.1794, 0.2435, 0.5026)
O (0.6794, 0.7565, 0.4974)
O (0.9862, 0.8956, 0.1392)
O (0.4862, 0.1044, 0.8608)
O (0.4862, 0.6044, 0.6392)
O (0.9862, 0.3956, 0.3608)

Results
**Symmetry**: Pna2_1
**DFT formation energy**: -2843 meV/atom
**Raw total energy**: -327.756 eV/cell

=====

No. 3
A plane-wave DFT calculation with PBE was carried out for a relaxed Na2BeB2O5 crystal.

Lattice parameters (Å, degrees): 5.0403 5.0403 9.1238 85.23 85.23 108.22
Sites, in units of the cell vectors:
Na (0.2946, 0.6845, 0.5715)
Na (0.3155, 0.7054, 0.9285)
Na (0.7054, 0.3155, 0.4285)
Na (0.6845, 0.2946, 0.0715)
Be (0.7107, 0.2893, 0.7500)
Be (0.2893, 0.7107, 0.2500)
B (0.8278, 0.8396, 0.6783)
B (0.1604, 0.1722, 0.8217)
B (0.8396, 0.8278, 0.1783)
B (0.1722, 0.1604, 0.3217)
O (0.0186, 0.6769, 0.1562)
O (0.6769, 0.0186, 0.6562)
O (0.5756, 0.7550, 0.1330)
O (0.2450, 0.4244, 0.3670)
O (0.4244, 0.2450, 0.8670)
O (0.7550, 0.5756, 0.6330)
O (0.9243, 0.0757, 0.2500)
O (0.0757, 0.9243, 0.7500)
O (0.9814, 0.3231, 0.8438)
O (0.3231, 0.9814, 0.3438)

Results
**Symmetry**: C2/c
**DFT formation energy**: -2728 meV/atom
**Raw total energy**: -136.650 eV/cell

=====

No. 4
A plane-wave DFT calculation with PBE was carried out for a relaxed Na2Be4B4O11 crystal.

Lattice parameters (Å, degrees): 8.9061 12.8667 15.3654 90.04 90.02 110.17
Sites, in units of the cell vectors:
Na (0.7581, 0.7823, 0.1032)
Na (0.6075, 0.2705, 0.2096)
Na (0.3195, 0.3950, 0.7116)
Na (0.7564, 0.3112, 0.9707)
Na (0.7755, 0.8476, 0.5675)
Na (0.1721, 0.9005, 0.6048)
Na (0.6375, 0.8084, 0.3467)
Na (0.2835, 0.8589, 0.8405)
Na (0.8053, 0.3749, 0.5108)
Na (0.1265, 0.3047, 0.0057)
Na (0.2551, 0.3248, 0.2457)
Na (0.6687, 0.3439, 0.7440)
Na (0.1684, 0.3729, 0.4676)
Na (0.6533, 0.8461, 0.8190)
Na (0.1564, 0.8277, 0.0698)
Na (0.2690, 0.8205, 0.3115)
Be (0.4969, 0.6635, 0.6956)
Be (0.2541, 0.1593, 0.6099)
Be (0.9755, 0.1339, 0.8679)
Be (0.9875, 0.1416, 0.3594)
Be (0.4920, 0.1522, 0.8690)
Be (0.0045, 0.6601, 0.7041)
Be (0.9629, 0.5463, 0.3682)
Be (0.7546, 0.1559, 0.6199)
Be (0.7517, 0.6340, 0.4442)
Be (0.4497, 0.5312, 0.3698)
Be (0.9770, 0.6234, 0.1969)
Be (0.2622, 0.6449, 0.4463)
Be (0.7386, 0.1148, 0.1127)
Be (0.4810, 0.6199, 0.2026)
Be (0.4611, 0.0703, 0.7001)
Be (0.4732, 0.1246, 0.3626)
Be (0.2382, 0.6222, 0.9547)
Be (0.9354, 0.0225, 0.2041)
Be (0.4370, 0.0183, 0.1944)
Be (0.9467, 0.5387, 0.8591)
Be (0.2308, 0.1117, 0.1159)
Be (0.9581, 0.0557, 0.6970)
Be (0.7497, 0.6299, 0.9525)
Be (0.4626, 0.5562, 0.8631)
Be (0.1784, 0.0402, 0.4528)
Be (0.1844, 0.0335, 0.9438)
Be (0.6705, 0.0259, 0.9456)
Be (0.1939, 0.5575, 0.6136)
Be (0.1783, 0.5182, 0.1189)
Be (0.6758, 0.5137, 0.1133)
Be (0.6994, 0.5574, 0.6162)
Be (0.6931, 0.0478, 0.4545)
B (0.9537, 0.8329, 0.9140)
B (0.4708, 0.8184, 0.1584)
B (0.4862, 0.3520, 0.5681)
B (0.9652, 0.8534, 0.7449)
B (0.4821, 0.6048, 0.5315)
B (0.4315, 0.3222, 0.0711)
B (0.9888, 0.6154, 0.5330)
B (0.4492, 0.8623, 0.6601)
B (0.9741, 0.3390, 0.8245)
B (0.9621, 0.8257, 0.2449)
B (0.9504, 0.3409, 0.3236)
B (0.9706, 0.8394, 0.4148)
B (0.4655, 0.8476, 0.4904)
B (0.9349, 0.3220, 0.1551)
B (0.4724, 0.1025, 0.5317)
B (0.4658, 0.0854, 0.0318)
B (0.2234, 0.1045, 0.7822)
B (0.9804, 0.1170, 0.5305)
B (0.4546, 0.3517, 0.9005)
B (0.7279, 0.6065, 0.7818)
B (0.7130, 0.5641, 0.2819)
B (0.4746, 0.3286, 0.3999)
B (0.7174, 0.0908, 0.7814)
B (0.9864, 0.3551, 0.6585)
B (0.2242, 0.5917, 0.7820)
B (0.2055, 0.0648, 0.2833)
B (0.4567, 0.8244, 0.9898)
B (0.7079, 0.0722, 0.2826)
B (0.9534, 0.0663, 0.0317)
B (0.4659, 0.5802, 0.0338)
B (0.9624, 0.5725, 0.0317)
B (0.2168, 0.5746, 0.2829)
O (0.4126, 0.9388, 0.7097)
O (0.5715, 0.6274, 0.6071)
O (0.0730, 0.6320, 0.6101)
O (0.9329, 0.9254, 0.6882)
O (0.5576, 0.1196, 0.6090)
O (0.6179, 0.9160, 0.4707)
O (0.9386, 0.4182, 0.3815)
O (0.3751, 0.7715, 0.4315)
O (0.3900, 0.8878, 0.1822)
O (0.3963, 0.3999, 0.3768)
O (0.8313, 0.2453, 0.1012)
O (0.4935, 0.2520, 0.3440)
O (0.8911, 0.4074, 0.8464)
O (0.0633, 0.9152, 0.4721)
O (0.5077, 0.7497, 0.2159)
O (0.8813, 0.3328, 0.2400)
O (0.8239, 0.7654, 0.4377)
O (0.0827, 0.4291, 0.6003)
O (0.0309, 0.2713, 0.3451)
O (0.8791, 0.8922, 0.2196)
O (0.5420, 0.0861, 0.1102)
O (0.0537, 0.7902, 0.7210)
O (0.0761, 0.6026, 0.7821)
O (0.0577, 0.1190, 0.6089)
O (0.0486, 0.3508, 0.7421)
O (0.5907, 0.4281, 0.6224)
O (0.5857, 0.6290, 0.7825)
O (0.3022, 0.5573, 0.0334)
O (0.0601, 0.1180, 0.4533)
O (0.8992, 0.8418, 0.8290)
O (0.5474, 0.0995, 0.4540)
O (0.8014, 0.5584, 0.0310)
O (0.5402, 0.3362, 0.4846)
O (0.3357, 0.2891, 0.5946)
O (0.4333, 0.4287, 0.8460)
O (0.4003, 0.8539, 0.5723)
O (0.5568, 0.1070, 0.9566)
O (0.0818, 0.3883, 0.1265)
O (0.0705, 0.1080, 0.7832)
O (0.0314, 0.0637, 0.1090)
O (0.8351, 0.2867, 0.6368)
O (0.0656, 0.0883, 0.2808)
O (0.0432, 0.0909, 0.9558)
O (0.5451, 0.9032, 0.9331)
O (0.9901, 0.7514, 0.1889)
O (0.3178, 0.2440, 0.1198)
O (0.5856, 0.1248, 0.7827)
O (0.5763, 0.3845, 0.1049)
O (0.5196, 0.7920, 0.6938)
O (0.5494, 0.5861, 0.1113)
O (0.0762, 0.5979, 0.2818)
O (0.1022, 0.9022, 0.9385)
O (0.5314, 0.2817, 0.8743)
O (0.9862, 0.2601, 0.8805)
O (0.0472, 0.5848, 0.1089)
O (0.3906, 0.3415, 0.9856)
O (0.3077, 0.7536, 0.9679)
O (0.3212, 0.5910, 0.5317)
O (0.7809, 0.5490, 0.2046)
O (0.8234, 0.1134, 0.5311)
O (0.5647, 0.5768, 0.2836)
O (0.7882, 0.0763, 0.3599)
O (0.0411, 0.5744, 0.9542)
O (0.5523, 0.5998, 0.9570)
O (0.0272, 0.8359, 0.3294)
O (0.5523, 0.0730, 0.2814)
O (0.7919, 0.0502, 0.0308)
O (0.2763, 0.0538, 0.2049)
O (0.7942, 0.5863, 0.8583)
O (0.5214, 0.8163, 0.0721)
O (0.3029, 0.0636, 0.0307)
O (0.7780, 0.0612, 0.8567)
O (0.2917, 0.5725, 0.3614)
O (0.7948, 0.5714, 0.3593)
O (0.2774, 0.0558, 0.3611)
O (0.8242, 0.5908, 0.5321)
O (0.2954, 0.0869, 0.8580)
O (0.7921, 0.0865, 0.7036)
O (0.5554, 0.5953, 0.4545)
O (0.0660, 0.6170, 0.4546)
O (0.7822, 0.0664, 0.2049)
O (0.2854, 0.5548, 0.2074)
O (0.3070, 0.1155, 0.7048)
O (0.3098, 0.0861, 0.5341)
O (0.2997, 0.5883, 0.8596)
O (0.8537, 0.7579, 0.9693)
O (0.3014, 0.5865, 0.7039)
O (0.8043, 0.6009, 0.7043)

Results
**Symmetry**: P1
**DFT formation energy**: -2880 meV/atom
**Raw total energy**: -1213.318 eV/cell